P.
An optimized crystal structure of La8Al4I7. Source: the Materials Project database, functional PBE-GGA.

Cell lengths 4.331, 18.138, 25.547 Å; angles 101.63, 94.83, 96.85 degrees
Fractional positions:
La  0.008  0.047  0.377
La  0.009  0.262  0.737
La  0.065  0.589  0.859
La  0.129  0.220  0.102
La  0.250  0.561  0.312
La  0.265  0.486  0.565
La  0.271  0.871  0.419
La  0.299  0.101  0.798
La  0.354  0.428  0.923
La  0.380  0.743  0.026
La  0.461  0.303  0.522
La  0.480  0.904  0.745
La  0.520  0.096  0.255
La  0.539  0.697  0.478
La  0.620  0.257  0.974
La  0.646  0.572  0.077
La  0.701  0.899  0.202
La  0.729  0.129  0.581
La  0.735  0.514  0.435
La  0.750  0.439  0.688
La  0.871  0.780  0.898
La  0.935  0.411  0.141
La  0.991  0.738  0.263
La  0.992  0.953  0.623
Al  0.051  0.328  0.618
Al  0.077  0.558  0.977
Al  0.287  0.134  0.678
Al  0.313  0.942  0.301
Al  0.322  0.367  0.046
Al  0.450  0.257  0.639
Al  0.550  0.743  0.361
Al  0.678  0.633  0.954
Al  0.687  0.058  0.699
Al  0.713  0.866  0.322
Al  0.923  0.442  0.023
Al  0.949  0.672  0.382
I  0.000  0.000  0.500
I  0.031  0.377  0.443
I  0.084  0.942  0.843
I  0.101  0.867  0.099
I  0.216  0.200  0.329
I  0.254  0.735  0.799
I  0.273  0.832  0.542
I  0.324  0.453  0.795
I  0.388  0.706  0.152
I  0.430  0.110  0.031
I  0.462  0.579  0.690
I  0.538  0.421  0.310
I  0.570  0.890  0.969
I  0.612  0.294  0.848
I  0.676  0.547  0.205
I  0.727  0.168  0.458
I  0.746  0.265  0.201
I  0.784  0.800  0.671
I  0.899  0.133  0.901
I  0.916  0.058  0.157
I  0.969  0.623  0.557

---

Q.
An optimized crystal structure of La8Al4I7. Source: the Materials Project database, functional PBE-GGA.

Cell lengths 18.079, 18.079, 27.931 Å; angles 116.84, 116.84, 13.78 degrees
Fractional positions:
La  0.002  0.002  0.077
La  0.012  0.012  0.263
La  0.023  0.023  0.419
La  0.172  0.172  0.747
La  0.193  0.193  0.103
La  0.210  0.210  0.434
La  0.359  0.359  0.521
La  0.375  0.375  0.687
La  0.385  0.385  0.859
La  0.392  0.392  0.025
La  0.402  0.402  0.202
La  0.416  0.416  0.377
La  0.584  0.584  0.623
La  0.598  0.598  0.798
La  0.608  0.608  0.975
La  0.615  0.615  0.141
La  0.625  0.625  0.313
La  0.641  0.641  0.479
La  0.790  0.790  0.566
La  0.807  0.807  0.897
La  0.828  0.828  0.253
La  0.977  0.977  0.581
La  0.988  0.988  0.737
La  0.998  0.998  0.923
Al  0.070  0.070  0.700
Al  0.088  0.088  0.046
Al  0.104  0.104  0.382
Al  0.441  0.441  0.639
Al  0.460  0.460  0.977
Al  0.478  0.478  0.323
Al  0.522  0.522  0.677
Al  0.540  0.540  0.023
Al  0.559  0.559  0.361
Al  0.896  0.896  0.618
Al  0.912  0.912  0.954
Al  0.930  0.930  0.300
I  0.079  0.079  0.206
I  0.104  0.104  0.540
I  0.135  0.135  0.902
I  0.195  0.195  0.311
I  0.217  0.217  0.556
I  0.283  0.283  0.800
I  0.290  0.290  0.970
I  0.301  0.301  0.157
I  0.315  0.315  0.328
I  0.473  0.473  0.152
I  0.500  0.500  0.500
I  0.527  0.527  0.848
I  0.685  0.685  0.672
I  0.699  0.699  0.843
I  0.710  0.710  0.030
I  0.717  0.717  0.200
I  0.783  0.783  0.444
I  0.805  0.805  0.689
I  0.865  0.865  0.098
I  0.896  0.896  0.460
I  0.921  0.921  0.794

---

Bottom line: Q, by a margin of 0.219 eV/atom.

---

P.
An optimized crystal structure of La8Al4I7. Source: the Materials Project database, functional PBE-GGA.

Cell lengths 4.331, 18.138, 25.547 Å; angles 101.63, 94.83, 96.85 degrees
Fractional positions:
La  0.000  0.000  0.000
La  0.015  0.208  0.821
La  0.088  0.731  0.445
La  0.124  0.529  0.721
La  0.152  0.942  0.357
La  0.180  0.166  0.186
La  0.238  0.866  0.611
La  0.289  0.685  0.897
La  0.325  0.299  0.342
La  0.351  0.523  0.177
La  0.399  0.017  0.782
La  0.450  0.839  0.064
La  0.501  0.332  0.669
La  0.531  0.557  0.504
La  0.563  0.172  0.949
La  0.615  0.989  0.235
La  0.673  0.690  0.660
La  0.705  0.914  0.489
La  0.728  0.328  0.125
La  0.768  0.125  0.401
La  0.835  0.648  0.025
La  0.851  0.857  0.847
La  0.887  0.475  0.300
La  0.963  0.381  0.545
Al  0.081  0.561  0.601
Al  0.124  0.684  0.562
Al  0.208  0.100  0.305
Al  0.297  0.368  0.223
Al  0.407  0.870  0.946
Al  0.444  0.987  0.900
Al  0.554  0.486  0.623
Al  0.649  0.755  0.541
Al  0.733  0.171  0.284
Al  0.773  0.294  0.245
Al  0.880  0.796  0.969
Al  0.970  0.061  0.877
I  0.042  0.849  0.234
I  0.052  0.975  0.129
I  0.067  0.370  0.766
I  0.160  0.295  0.023
I  0.243  0.722  0.771
I  0.244  0.538  0.953
I  0.271  0.051  0.480
I  0.365  0.260  0.464
I  0.407  0.693  0.124
I  0.445  0.164  0.722
I  0.485  0.596  0.382
I  0.587  0.805  0.366
I  0.605  0.318  0.892
I  0.609  0.135  0.075
I  0.691  0.561  0.824
I  0.782  0.485  0.079
I  0.796  0.881  0.718
I  0.806  0.007  0.612
I  0.913  0.227  0.594
I  0.929  0.428  0.423
I  0.941  0.628  0.252

---

Q.
An optimized crystal structure of La8Al4I7. Source: the Materials Project database, functional PBE-GGA.

Cell lengths 4.331, 18.138, 25.547 Å; angles 101.63, 94.83, 96.85 degrees
Fractional positions:
La  0.054  0.047  0.377
La  0.122  0.743  0.026
La  0.142  0.871  0.419
La  0.188  0.439  0.688
La  0.218  0.572  0.077
La  0.236  0.697  0.478
La  0.249  0.514  0.435
La  0.271  0.262  0.737
La  0.346  0.411  0.141
La  0.349  0.220  0.102
La  0.384  0.904  0.745
La  0.400  0.101  0.798
La  0.600  0.899  0.202
La  0.616  0.096  0.255
La  0.651  0.780  0.898
La  0.654  0.589  0.859
La  0.729  0.738  0.263
La  0.751  0.486  0.565
La  0.764  0.303  0.522
La  0.782  0.428  0.923
La  0.812  0.561  0.312
La  0.858  0.129  0.581
La  0.878  0.257  0.974
La  0.946  0.953  0.623
Al  0.255  0.942  0.301
Al  0.294  0.743  0.361
Al  0.311  0.633  0.954
Al  0.366  0.442  0.023
Al  0.378  0.328  0.618
Al  0.420  0.134  0.678
Al  0.580  0.866  0.322
Al  0.622  0.672  0.382
Al  0.634  0.558  0.977
Al  0.689  0.367  0.046
Al  0.706  0.257  0.639
Al  0.745  0.058  0.699
I  0.000  0.000  0.500
I  0.011  0.265  0.201
I  0.026  0.942  0.843
I  0.032  0.133  0.901
I  0.041  0.579  0.690
I  0.094  0.706  0.152
I  0.105  0.832  0.542
I  0.223  0.547  0.205
I  0.408  0.377  0.443
I  0.417  0.200  0.329
I  0.460  0.890  0.969
I  0.540  0.110  0.031
I  0.583  0.800  0.671
I  0.592  0.623  0.557
I  0.777  0.453  0.795
I  0.895  0.168  0.458
I  0.906  0.294  0.848
I  0.959  0.421  0.310
I  0.968  0.867  0.099
I  0.974  0.058  0.157
I  0.989  0.735  0.799

---

Bottom line: P, by a margin of 0.745 eV/atom.